Density functional theory data (GGA-PBE) for Na4Mg3P4O15 after structural relaxation.

POSCAR file:
```
Na4Mg3P4O15
1.0
-6.139 -0.202 -2.397
-2.093 -8.471 6.076
-5.590 10.986 13.391
Na Mg P O
16 12 16 60
Cartesian
-10.092 3.222 15.239
-1.520 -0.836 2.694
-4.376 4.412 9.565
-7.237 -2.027 8.368
-11.037 6.417 9.765
-5.737 -4.201 6.153
-8.525 1.320 12.829
-8.249 0.895 3.090
-12.422 6.682 13.879
-3.953 -4.454 2.195
-7.691 -2.775 11.627
-8.684 5.004 4.447
-10.456 10.048 11.173
-4.150 -7.761 5.592
-6.071 1.271 9.750
-8.535 1.016 7.015
-10.194 -1.543 12.836
-3.494 3.860 4.287
-7.311 5.217 13.950
-6.377 -2.899 3.173
-7.537 5.956 10.256
-9.001 -3.733 5.754
-11.773 1.854 12.382
-4.766 0.369 3.628
-9.387 2.893 10.200
-4.433 -0.580 6.871
-6.203 9.061 10.592
-7.617 -6.748 6.479
-10.098 4.728 12.189
-3.503 -2.408 4.968
-7.293 -0.943 14.553
-6.307 3.263 2.604
-8.989 8.524 8.845
-4.736 -6.208 8.263
-6.497 3.468 11.958
-7.228 -1.152 5.150
-7.416 3.897 7.788
-4.561 -1.523 10.003
-7.414 3.735 16.867
-4.562 -1.361 0.924
-4.848 2.575 6.960
-9.452 -0.278 9.924
-6.745 -6.124 3.482
-7.556 8.421 13.402
-7.797 4.856 6.647
-5.559 -2.528 10.606
-7.884 4.868 15.937
-5.472 -2.539 1.316
-8.669 6.983 8.874
-4.570 -4.651 8.424
-6.796 3.143 13.469
-6.443 -0.811 3.829
-10.199 0.873 15.868
-1.307 1.516 2.107
-5.049 3.177 11.551
-6.457 -0.788 6.424
-10.482 8.715 9.208
-5.575 -6.476 6.990
-7.474 2.644 11.084
-8.583 -0.405 5.113
-8.629 3.109 8.295
-5.153 -0.795 8.790
-8.462 2.621 16.976
-5.321 -0.307 0.110
-10.209 3.162 12.145
-3.704 -0.852 4.890
-5.891 7.101 9.821
-8.022 -4.791 7.214
-11.472 5.433 12.115
-4.521 -3.191 4.108
-8.181 -1.196 13.312
-7.813 3.437 2.911
-9.334 5.129 13.470
-2.053 -2.736 4.552
-3.853 6.783 8.360
-7.534 -4.390 9.661
-6.735 5.023 11.889
-7.360 -2.720 5.075
-10.729 0.449 13.438
-3.365 1.855 3.526
-9.334 5.054 10.847
-3.833 -2.719 6.480
-7.160 0.621 14.720
-6.007 1.713 2.607
-12.171 3.008 14.116
-3.818 -0.766 2.109
-6.649 4.582 8.909
-9.340 -2.340 7.316
-6.500 2.716 7.104
-4.420 -0.308 11.100
-1.828 -6.624 4.995
-9.091 9.033 13.209
-4.636 1.339 6.085
-9.959 0.948 10.683
-7.426 -5.604 4.747
-7.169 7.892 12.021
-4.336 2.397 8.382
-8.123 -0.039 9.221
-5.752 -7.246 3.754
-6.707 9.604 13.849
-4.353 3.851 6.262
-9.489 -1.539 10.801
-6.185 -4.975 2.630
-7.657 7.287 14.433
```

## Properties
Space group: Pna2_1 (33)
Size of the total moment (μB/cell): 0.0
E_form (meV per atom): -2846
Calculated total energy (eV for the cell shown): -678.6